(1)
A geometry-optimized Nd2IrRu structure. Source: the Materials Project database, functional PBE.

Cell lengths 5.0003, 5.0003, 5.0003 Å; angles 60.00, 60.00, 60.00 degrees
Sites, in units of the cell vectors:
1 Nd 0.2500 0.2500 0.2500
2 Nd 0.7500 0.7500 0.7500
3 Ir 0.5000 0.5000 0.5000
4 Ru 0.0000 0.0000 0.0000

Computed properties:
The magnetization comes out at 0.02 μB per cell. As for the total energy: -28.94 eV/cell. The formation energy is -322 meV per atom.

---

(2)
A geometry-optimized NdSbIr structure. Source: the Materials Project database, functional PBE.

Cell lengths 4.5880, 7.4498, 8.0347 Å; angles 90.00, 90.00, 90.00 degrees
Sites, in units of the cell vectors:
1 Nd 0.2500 0.5171 0.1899
2 Nd 0.7500 0.4829 0.8101
3 Nd 0.7500 0.9829 0.6899
4 Nd 0.2500 0.0171 0.3101
5 Sb 0.2500 0.6732 0.5866
6 Sb 0.7500 0.3268 0.4134
7 Sb 0.7500 0.8268 0.0866
8 Sb 0.2500 0.1732 0.9134
9 Ir 0.2500 0.7976 0.9071
10 Ir 0.7500 0.2024 0.0929
11 Ir 0.7500 0.7024 0.4071
12 Ir 0.2500 0.2976 0.5929

Computed properties:
As for the total energy: -81.32 eV/cell. The formation energy is -865 meV per atom.

---

(3)
A geometry-optimized NdSiIr structure. Source: the Materials Project database, functional PBE.

Cell lengths 6.3653, 6.3653, 6.3653 Å; angles 90.00, 90.00, 90.00 degrees
Sites, in units of the cell vectors:
1 Nd 0.8680 0.8680 0.8680
2 Nd 0.6320 0.1320 0.3680
3 Nd 0.1320 0.3680 0.6320
4 Nd 0.3680 0.6320 0.1320
5 Si 0.5837 0.5837 0.5837
6 Si 0.9163 0.4163 0.0837
7 Si 0.4163 0.0837 0.9163
8 Si 0.0837 0.9163 0.4163
9 Ir 0.1820 0.1820 0.1820
10 Ir 0.3180 0.8180 0.6820
11 Ir 0.8180 0.6820 0.3180
12 Ir 0.6820 0.3180 0.8180

Computed properties:
As for the total energy: -87.58 eV/cell. The formation energy is -955 meV per atom.